[1]
Below is a relaxed CaCo2Si2 crystal, with properties calculated at the PBE level.

Summary:
The value obtained for the formation energy is -0.5917 eV per atom. The total energy is -30.17 eV for the cell shown. As for the space group: No. 139.

Structure (POSCAR):
```
CaCo2Si2
1.0
-4.1377 1.5681 3.5524
-3.9985 3.7226 -1.5343
2.4913 -4.7187 -1.9304
Si Co Ca
2 2 1
Direct
0.6317 0.6317 0.0000
0.3683 0.3683 0.0000
0.7500 0.2500 0.5000
0.2500 0.7500 0.5000
0.0000 0.0000 0.0000
```



[2]
Below is a relaxed Ca2CoW crystal, with properties calculated at the PBE level.

Summary:
The value obtained for the formation energy is 1.0017 eV per atom. The total energy is -20.07 eV for the cell shown. For the magnetic moment, the calculation gives 1.08 Bohr magnetons per cell. As for the space group: No. 216.

Structure (POSCAR):
```
Ca2CoW
1.0
0.0000 3.4018 3.4018
3.4018 0.0000 3.4018
3.4018 3.4018 0.0000
Ca Co W
2 1 1
Direct
0.7500 0.7500 0.7500
0.5000 0.5000 0.5000
0.0000 0.0000 0.0000
0.2500 0.2500 0.2500
```



[3]
Below is a relaxed CaMg6Cr crystal, with properties calculated at the PBE level.

Summary:
The value obtained for the formation energy is 0.1687 eV per atom. The total energy is -39.82 eV for the cell shown. For the magnetic moment, the calculation gives 8.70 Bohr magnetons per cell.

Structure (POSCAR):
```
CaMg6Cr
1.0
5.1724 0.0000 0.0000
0.0000 6.5264 0.0000
0.0000 0.0000 11.2877
Mg Ca Cr
12 2 2
Direct
0.0000 0.7580 0.5834
0.5000 0.5000 0.6663
0.5000 0.2559 0.9194
0.5000 0.2441 0.4194
0.0000 0.2420 0.5834
0.0000 0.7420 0.0834
0.0000 0.2580 0.0834
0.0000 0.5000 0.8356
0.5000 0.7441 0.9194
0.5000 0.7559 0.4194
0.0000 0.0000 0.3356
0.5000 0.0000 0.1663
0.0000 0.0000 0.8297
0.0000 0.5000 0.3297
0.5000 0.0000 0.6629
0.5000 0.5000 0.1629
```



[4]
Below is a relaxed CaMg6Cr crystal, with properties calculated at the PBE level.

Summary:
The value obtained for the formation energy is 0.1693 eV per atom. The total energy is -39.81 eV for the cell shown. For the magnetic moment, the calculation gives 8.94 Bohr magnetons per cell.

Structure (POSCAR):
```
CaMg6Cr
1.0
5.1880 0.0000 0.0000
0.0000 6.5071 0.0000
0.0000 0.0000 11.2994
Mg Cr Ca
12 2 2
Direct
0.0000 0.7635 0.5833
0.5000 0.7537 0.4180
0.0000 0.2635 0.0833
0.5000 0.2537 0.9180
0.0000 0.0000 0.3373
0.0000 0.5000 0.8373
0.5000 0.7463 0.9180
0.0000 0.7365 0.0833
0.0000 0.5000 0.3284
0.5000 0.2463 0.4180
0.0000 0.0000 0.8284
0.0000 0.2365 0.5833
0.5000 0.5000 0.1653
0.5000 0.0000 0.6653
0.5000 0.0000 0.1662
0.5000 0.5000 0.6662
```



[5]
Below is a relaxed CaMg14Cr crystal, with properties calculated at the PBE level.

Summary:
The value obtained for the formation energy is 0.0852 eV per atom. The total energy is -32.70 eV for the cell shown. For the magnetic moment, the calculation gives 4.06 Bohr magnetons per cell. As for the space group: No. 38. The offset from the most stable computed form comes out at 0.000 eV/atom.

Structure (POSCAR):
```
CaMg14Cr
1.0
-1.2772 -2.0083 6.0096
5.9836 -0.4537 -2.3261
2.1362 9.5255 3.6372
Mg Ca Cr
14 1 1
Direct
0.8394 0.6697 0.3665
0.3344 0.1605 0.3779
0.3344 0.6739 0.3779
0.8300 0.1650 0.3839
0.6664 0.3342 0.6250
0.6664 0.8321 0.6250
0.1672 0.3336 0.6250
0.3344 0.6739 0.8721
0.8394 0.6697 0.8835
0.6611 0.3253 0.1250
0.8300 0.1650 0.8661
0.6611 0.8358 0.1250
0.3344 0.1605 0.8721
0.1660 0.8330 0.6250
0.1648 0.3324 0.1250
0.1708 0.8354 0.1250
```



[6]
Below is a relaxed CaMg14Cr crystal, with properties calculated at the PBE level.

Summary:
The value obtained for the formation energy is 0.0887 eV per atom. The total energy is -32.64 eV for the cell shown. For the magnetic moment, the calculation gives 4.23 Bohr magnetons per cell. As for the space group: No. 187. The offset from the most stable computed form comes out at 0.004 eV/atom.

Structure (POSCAR):
```
CaMg14Cr
1.0
6.4314 0.0000 0.0000
-3.2157 5.5697 0.0000
0.0000 0.0000 10.4080
Mg Ca Cr
14 1 1
Direct
0.6666 0.3332 0.6250
0.8336 0.1668 0.3852
0.6633 0.3265 0.1250
0.6633 0.8367 0.1250
0.6666 0.8334 0.6250
0.8333 0.6667 0.3699
0.3332 0.6664 0.8648
0.8333 0.6667 0.8801
0.8336 0.1668 0.8648
0.3332 0.1668 0.8648
0.3332 0.1668 0.3852
0.1735 0.8367 0.1250
0.1668 0.8334 0.6250
0.3332 0.6664 0.3852
0.1667 0.3333 0.1250
0.1667 0.3333 0.6250
```



[7]
Below is a relaxed Ca2CrN2 crystal, with properties calculated at the PBE level.

Summary:
The value obtained for the formation energy is -0.9200 eV per atom. The total energy is -68.43 eV for the cell shown. For the magnetic moment, the calculation gives 0.00 Bohr magnetons per cell. As for the space group: No. 12.

Structure (POSCAR):
```
Ca2CrN2
1.0
-1.9997 -3.1792 4.7078
1.8018 -5.2978 2.2262
3.6911 0.1353 5.5388
Ca Cr N
4 2 4
Direct
0.3194 0.3194 0.6137
0.0384 0.0384 0.2191
0.6806 0.6806 0.3863
0.9616 0.9616 0.7809
0.6316 0.6316 0.8654
0.3684 0.3684 0.1346
0.5117 0.5117 0.1983
0.8062 0.8062 0.6281
0.4883 0.4883 0.8017
0.1938 0.1938 0.3719
```



[8]
Below is a relaxed Ca2CrN3 crystal, with properties calculated at the PBE level.

Summary:
The value obtained for the formation energy is -0.6680 eV per atom. The total energy is -83.20 eV for the cell shown. For the magnetic moment, the calculation gives 0.00 Bohr magnetons per cell. As for the space group: No. 38. The offset from the most stable computed form comes out at 0.463 eV/atom.

Structure (POSCAR):
```
Ca2CrN3
1.0
1.6966 5.9570 2.4487
-6.5377 -0.6696 1.0819
0.9391 -2.0730 4.3923
N Ca Cr
6 4 2
Direct
0.8247 0.5516 0.5000
0.8757 0.1243 0.5000
0.5589 0.8062 0.0000
0.1291 0.8709 0.0000
0.4484 0.1753 0.5000
0.1938 0.4411 0.0000
0.3978 0.1941 0.0000
0.8059 0.6022 0.0000
0.1001 0.8999 0.5000
0.8862 0.1138 0.0000
0.2996 0.7004 0.0000
0.7147 0.2853 0.5000
```



[9]
Below is a relaxed CaCrN2 crystal, with properties calculated at the PBE level.

Summary:
The value obtained for the formation energy is -0.9522 eV per atom. The total energy is -62.84 eV for the cell shown. For the magnetic moment, the calculation gives 3.75 Bohr magnetons per cell. As for the space group: No. 129.

Structure (POSCAR):
```
CaCrN2
1.0
-1.1706 3.4558 0.5691
-1.9114 -1.1332 2.9494
5.8414 1.2746 4.2752
N Ca Cr
4 2 2
Direct
0.7500 0.2500 0.5000
0.7500 0.7500 0.8349
0.2500 0.2500 0.1651
0.2500 0.7500 0.5000
0.7500 0.7500 0.1593
0.2500 0.2500 0.8407
0.7500 0.7500 0.5929
0.2500 0.2500 0.4071
```